## GaPO4 (GGA-PBE)

Data for a relaxed structure of GaPO4.

Crystal system: orthorhombic
ΔE_f, eV/atom: -2.59
Maximum piezoelectric response, C/m2: 2.59

a = 5.0055 Å, b = 5.0055 Å, c = 7.0021 Å
α = 90.00°, β = 90.00°, γ = 90.09°
With the nearest neighbours (Å) after each atom.
Element x y z (fractional)
O: 0.3822 0.2672 0.7151  1 P 1.55
O: 0.2261 0.8336 0.4318  1 P 1.55
O: 0.7739 0.1664 0.9318  1 P 1.55
O: 0.7328 0.6178 0.7849  1 P 1.55
O: 0.6178 0.7328 0.2151  1 P 1.55
O: 0.1664 0.7739 0.0682  1 P 1.55
O: 0.2672 0.3822 0.2849  1 P 1.55
O: 0.8336 0.2261 0.5682  1 P 1.55
P: 0.3164 0.6836 0.2500  4 O 1.55
P: 0.6836 0.3164 0.7500  4 O 1.55
Ga: 0.8129 0.8129 0.0000  4 O 1.84
Ga: 0.1871 0.1871 0.5000  4 O 1.84

***

## Lu2GaOs (GGA-PBE)

Data for a relaxed structure of Lu2GaOs.

Magnetic moment, μB/f.u.: 0.01
Crystal system: cubic
ΔE_f, eV/atom: -0.44

a = 4.8198 Å, b = 4.8198 Å, c = 4.8198 Å
α = 60.00°, β = 60.00°, γ = 60.00°
With the nearest neighbours (Å) after each atom.
Element x y z (fractional)
Ga: 0.5000 0.5000 0.5000  8 Lu 2.95
Lu: 0.2500 0.2500 0.2500  4 Os 2.95, 4 Ga 2.95
Lu: 0.7500 0.7500 0.7500  4 Ga 2.95, 4 Os 2.95
Os: 0.0000 0.0000 0.0000  8 Lu 2.95

***

## LiGePd2 (GGA-PBE)

Data for a relaxed structure of LiGePd2.

Crystal system: cubic
ΔE_f, eV/atom: -0.61

a = 4.3058 Å, b = 4.3058 Å, c = 4.3058 Å
α = 60.00°, β = 60.00°, γ = 60.00°
With the nearest neighbours (Å) after each atom.
Element x y z (fractional)
Li: 0.5000 0.5000 0.5000  8 Pd 2.64
Pd: 0.7500 0.7500 0.7500  4 Ge 2.64, 4 Li 2.64
Pd: 0.2500 0.2500 0.2500  4 Ge 2.64, 4 Li 2.64
Ge: 0.0000 0.0000 0.0000  8 Pd 2.64

***

## Ba8CaY3Cu12O24 (GGA-PBE)

Data for a relaxed structure of Ba8CaY3Cu12O24.

Magnetic moment, μB/f.u.: 1.24
Crystal system: monoclinic
ΔE_f, eV/atom: -2.18

a = 8.6634 Å, b = 8.6634 Å, c = 12.7400 Å
α = 74.16°, β = 74.16°, γ = 52.94°
With the nearest neighbours (Å) after each atom.
Element x y z (fractional)
O: 0.7875 0.2874 0.8512  1 Cu 1.81
O: 0.8400 0.8400 0.6238  2 Cu 1.93
O: 0.6559 0.6559 0.3812  2 Cu 1.95
O: 0.3441 0.3441 0.6188  2 Cu 1.95
O: 0.2874 0.7875 0.8512  1 Cu 1.81
O: 0.5298 0.0298 0.3799  2 Cu 1.95-1.96
O: 0.2895 0.7735 0.3749  2 Cu 1.94
O: 0.5371 0.0369 0.8512  1 Cu 1.80
O: 0.2265 0.7105 0.6251  2 Cu 1.94
O: 0.4035 0.4035 0.3811  2 Cu 1.95
O: 0.9019 0.9019 0.3760  2 Cu 1.93
O: 0.5965 0.5965 0.6189  2 Cu 1.95
O: 0.9702 0.4702 0.6201  2 Cu 1.95-1.96
O: 0.4702 0.9702 0.6201  2 Cu 1.95-1.96
O: 0.0298 0.5298 0.3799  2 Cu 1.95-1.96
O: 0.7735 0.2895 0.3749  2 Cu 1.94
O: 0.9631 0.4629 0.1488  1 Cu 1.80
O: 0.0369 0.5371 0.8512  1 Cu 1.80
O: 0.4629 0.9631 0.1488  1 Cu 1.80
O: 0.2125 0.7126 0.1488  1 Cu 1.81
O: 0.1600 0.1600 0.3762  2 Cu 1.93
O: 0.7105 0.2265 0.6251  2 Cu 1.94
O: 0.0981 0.0981 0.6240  2 Cu 1.93
O: 0.7126 0.2125 0.1488  1 Cu 1.81
Cu: 0.5000 0.0000 0.0000  2 O 1.80
Cu: 0.6600 0.1591 0.3635  4 O 1.93-1.96
Cu: 0.1591 0.6600 0.3635  4 O 1.93-1.96
Cu: 0.5918 0.0909 0.6365  4 O 1.93-1.95
Cu: 0.9091 0.4082 0.3635  4 O 1.93-1.95
Cu: 0.0909 0.5918 0.6365  4 O 1.93-1.95
Cu: 0.7502 0.2498 0.0000  2 O 1.81
Cu: 0.8409 0.3400 0.6365  4 O 1.93-1.96
Cu: 0.0000 0.5000 0.0000  2 O 1.80
Cu: 0.4082 0.9091 0.3635  4 O 1.93-1.95
Cu: 0.3400 0.8409 0.6365  4 O 1.93-1.96
Cu: 0.2498 0.7502 0.0000  2 O 1.81
Ba: 0.1737 0.1737 0.8045  8 O 2.79-2.96
Ba: 0.6739 0.6739 0.8044  8 O 2.79-2.96
Ba: 0.8263 0.8263 0.1955  8 O 2.79-2.96
Ba: 0.3261 0.3261 0.1956  8 O 2.79-2.96
Ba: 0.9247 0.9247 0.8014  8 O 2.80-2.94
Ba: 0.0753 0.0753 0.1986  8 O 2.80-2.94
Ba: 0.4239 0.4239 0.8048  8 O 2.80-2.99
Ba: 0.5761 0.5761 0.1952  8 O 2.80-2.99
Ca: 0.0000 0.0000 0.5000  8 O 2.50
Y: 0.7512 0.7512 0.5000  8 O 2.39-2.42
Y: 0.2488 0.2488 0.5000  8 O 2.39-2.42
Y: 0.5000 0.5000 0.5000  8 O 2.41-2.43